{
  "formula": "Li4Mn3V3Ni2O16",
  "functional": "PBE+U",
  "state": "optimized geometry",
  "formation_energy_kj_per_mol_atoms": -202,
  "energy_ev_per_atom": -6.624,
  "crystal_system": "monoclinic",
  "space_group": "No. 8",
  "magmom_total_mub_per_fu": 16.0,
  "lattice": [[5.078, -2.902, 0.000], [5.078, 2.902, 0.000], [-0.027, 0.000, 9.624]],
  "species": ["Li", "Li", "Li", "Li", "Mn", "Mn", "Mn", "V", "V", "V", "Ni", "Ni", "O", "O", "O", "O", "O", "O", "O", "O", "O", "O", "O", "O", "O", "O", "O", "O"],
  "fractional_positions": [[0.000, 0.000, 0.000], [0.002, 0.002, 0.500], [0.330, 0.330, 0.389], [0.664, 0.664, 0.891], [0.168, 0.168, 0.717], [0.336, 0.830, 0.217], [0.830, 0.336, 0.217], [0.168, 0.662, 0.716], [0.662, 0.168, 0.716], [0.830, 0.830, 0.216], [0.331, 0.331, 0.993], [0.663, 0.663, 0.490], [0.002, 0.002, 0.315], [0.003, 0.003, 0.815], [0.033, 0.480, 0.833], [0.155, 0.155, 0.108], [0.155, 0.683, 0.109], [0.316, 0.838, 0.609], [0.327, 0.327, 0.608], [0.478, 0.478, 0.832], [0.480, 0.033, 0.833], [0.515, 0.515, 0.331], [0.515, 0.961, 0.331], [0.661, 0.661, 0.109], [0.683, 0.155, 0.109], [0.838, 0.316, 0.609], [0.842, 0.842, 0.609], [0.961, 0.515, 0.331]]
}

***

{
  "formula": "Li3Mn7O16",
  "functional": "PBE+U",
  "state": "optimized geometry",
  "formation_energy_kj_per_mol_atoms": -182,
  "energy_ev_per_atom": -6.747,
  "crystal_system": "trigonal",
  "space_group": "No. 160",
  "magmom_total_mub_per_fu": 20.0,
  "lattice": [[2.915, 1.683, 9.466], [-2.915, 1.683, 9.466], [0.000, -3.366, 9.466]],
  "species": ["Li", "Li", "Li", "Mn", "Mn", "Mn", "Mn", "Mn", "Mn", "Mn", "O", "O", "O", "O", "O", "O", "O", "O", "O", "O", "O", "O", "O", "O", "O", "O"],
  "fractional_positions": [[0.000, 0.000, 0.000], [0.122, 0.122, 0.122], [0.621, 0.621, 0.621], [0.065, 0.065, 0.558], [0.065, 0.558, 0.065], [0.066, 0.556, 0.556], [0.556, 0.066, 0.556], [0.556, 0.556, 0.066], [0.558, 0.065, 0.065], [0.812, 0.812, 0.812], [0.146, 0.710, 0.710], [0.193, 0.193, 0.193], [0.202, 0.202, 0.676], [0.202, 0.676, 0.202], [0.419, 0.419, 0.946], [0.419, 0.946, 0.419], [0.428, 0.428, 0.428], [0.472, 0.914, 0.914], [0.676, 0.202, 0.202], [0.691, 0.691, 0.691], [0.710, 0.146, 0.710], [0.710, 0.710, 0.146], [0.914, 0.472, 0.914], [0.914, 0.914, 0.472], [0.931, 0.931, 0.931], [0.946, 0.419, 0.419]]
}

***

{
  "formula": "Li2MnO2",
  "functional": "PBE+U",
  "state": "optimized geometry",
  "formation_energy_kj_per_mol_atoms": -191,
  "relative_energy_mev_per_atom": 44,
  "energy_ev_per_atom": -5.945,
  "magmom_total_mub_per_fu": 0.0,
  "lattice": [[-2.496, -2.316, -3.300], [1.774, -4.368, 0.503], [-4.794, -2.205, 1.767]],
  "species": ["Li", "Li", "Li", "Li", "Mn", "Mn", "O", "O", "O", "O"],
  "fractional_positions": [[0.974, 0.250, 0.553], [0.474, 0.750, 0.553], [0.526, 0.250, 0.447], [0.026, 0.750, 0.447], [0.750, 0.750, 0.000], [0.250, 0.250, 0.000], [0.147, 0.500, 0.707], [0.647, 0.000, 0.707], [0.353, 0.000, 0.293], [0.853, 0.500, 0.293]]
}

***

{
  "formula": "Li5Mn6O12",
  "functional": "PBE+U",
  "state": "optimized geometry",
  "formation_energy_kj_per_mol_atoms": -204,
  "relative_energy_mev_per_atom": 0,
  "energy_ev_per_atom": -6.703,
  "crystal_system": "triclinic",
  "space_group": "No. 1",
  "magmom_total_mub_per_fu": 1.0,
  "lattice": [[6.130, 0.000, 0.000], [-2.405, 6.088, 0.000], [-1.547, -1.605, 6.174]],
  "species": ["Li", "Li", "Li", "Li", "Li", "Mn", "Mn", "Mn", "Mn", "Mn", "Mn", "O", "O", "O", "O", "O", "O", "O", "O", "O", "O", "O", "O"],
  "fractional_positions": [[0.000, 0.000, 0.000], [0.011, 0.345, 0.339], [0.504, 0.350, 0.345], [0.515, 0.996, 0.990], [0.968, 0.657, 0.669], [0.258, 0.510, 0.998], [0.263, 0.182, 0.668], [0.265, 0.844, 0.336], [0.757, 0.837, 0.344], [0.759, 0.170, 0.672], [0.759, 0.509, 0.006], [0.091, 0.388, 0.680], [0.150, 0.756, 0.014], [0.159, 0.092, 0.352], [0.362, 0.594, 0.310], [0.371, 0.268, 0.984], [0.420, 0.967, 0.656], [0.655, 0.755, 0.031], [0.656, 0.413, 0.686], [0.657, 0.090, 0.359], [0.860, 0.256, 0.985], [0.876, 0.597, 0.328], [0.887, 0.940, 0.659]]
}

***

{
  "formula": "Li5Mn4O8",
  "functional": "PBE+U",
  "state": "optimized geometry",
  "formation_energy_kj_per_mol_atoms": -199,
  "relative_energy_mev_per_atom": 8,
  "energy_ev_per_atom": -6.398,
  "crystal_system": "orthorhombic",
  "space_group": "No. 36",
  "magmom_total_mub_per_fu": 17.0,
  "lattice": [[2.905, -5.622, 0.000], [2.905, 5.622, 0.000], [0.000, 0.000, 10.087]],
  "species": ["Li", "Li", "Li", "Li", "Li", "Li", "Li", "Li", "Li", "Li", "Mn", "Mn", "Mn", "Mn", "Mn", "Mn", "Mn", "Mn", "O", "O", "O", "O", "O", "O", "O", "O", "O", "O", "O", "O", "O", "O", "O", "O"],
  "fractional_positions": [[0.027, 0.973, 0.500], [0.187, 0.375, 0.421], [0.207, 0.793, 0.422], [0.342, 0.658, 0.208], [0.375, 0.187, 0.921], [0.625, 0.813, 0.421], [0.658, 0.342, 0.708], [0.793, 0.207, 0.922], [0.813, 0.625, 0.921], [0.973, 0.027, 0.000], [0.171, 0.331, 0.697], [0.177, 0.823, 0.694], [0.320, 0.680, 0.954], [0.331, 0.171, 0.197], [0.669, 0.829, 0.697], [0.680, 0.320, 0.454], [0.823, 0.177, 0.194], [0.829, 0.669, 0.197], [0.000, 0.480, 0.315], [0.000, 0.520, 0.815], [0.018, 0.982, 0.310], [0.124, 0.350, 0.076], [0.130, 0.870, 0.074], [0.350, 0.124, 0.576], [0.363, 0.637, 0.578], [0.480, 0.000, 0.815], [0.486, 0.514, 0.810], [0.514, 0.486, 0.310], [0.520, 0.000, 0.315], [0.637, 0.363, 0.078], [0.650, 0.876, 0.076], [0.870, 0.130, 0.574], [0.876, 0.650, 0.576], [0.982, 0.018, 0.810]]
}

***

{
  "formula": "Li3Mn7O12",
  "functional": "PBE+U",
  "state": "optimized geometry",
  "formation_energy_kj_per_mol_atoms": -196,
  "energy_ev_per_atom": -7.001,
  "crystal_system": "triclinic",
  "space_group": "No. 1",
  "magmom_total_mub_per_fu": 28.0,
  "lattice": [[5.100, 0.000, 0.000], [2.549, 4.576, 0.000], [1.151, 0.013, 29.739]],
  "species": ["Li", "Li", "Li", "Li", "Li", "Li", "Li", "Li", "Li", "Mn", "Mn", "Mn", "Mn", "Mn", "Mn", "Mn", "Mn", "Mn", "Mn", "Mn", "Mn", "Mn", "Mn", "Mn", "Mn", "Mn", "Mn", "Mn", "Mn", "Mn", "O", "O", "O", "O", "O", "O", "O", "O", "O", "O", "O", "O", "O", "O", "O", "O", "O", "O", "O", "O", "O", "O", "O", "O", "O", "O", "O", "O", "O", "O", "O", "O", "O", "O", "O", "O"],
  "fractional_positions": [[0.000, 0.000, 0.000], [0.001, 0.668, 0.585], [0.334, 0.667, 0.918], [0.337, 0.004, 0.333], [0.338, 0.003, 0.082], [0.341, 0.668, 0.414], [0.661, 0.671, 0.251], [0.670, 0.004, 0.666], [0.675, 0.668, 0.747], [0.001, 0.676, 0.833], [0.002, 0.339, 0.166], [0.006, 0.332, 0.666], [0.007, 0.997, 0.499], [0.009, 0.323, 0.414], [0.012, 0.321, 0.918], [0.327, 0.689, 0.666], [0.331, 0.679, 0.166], [0.332, 0.340, 0.999], [0.339, 0.333, 0.499], [0.340, 0.997, 0.833], [0.343, 0.323, 0.747], [0.348, 0.320, 0.252], [0.664, 0.685, 0.999], [0.667, 0.677, 0.499], [0.673, 0.332, 0.833], [0.674, 0.330, 0.080], [0.674, 0.330, 0.333], [0.676, 0.994, 0.166], [0.677, 0.323, 0.585], [0.994, 0.688, 0.333], [0.000, 0.346, 0.537], [0.002, 0.018, 0.131], [0.002, 0.661, 0.200], [0.007, 0.016, 0.631], [0.019, 0.634, 0.963], [0.028, 0.628, 0.702], [0.032, 0.000, 0.872], [0.304, 0.386, 0.371], [0.310, 0.004, 0.461], [0.318, 0.385, 0.628], [0.321, 0.015, 0.700], [0.328, 0.662, 0.795], [0.336, 0.342, 0.870], [0.340, 0.022, 0.964], [0.353, 0.625, 0.296], [0.358, 0.657, 0.537], [0.364, 0.294, 0.129], [0.365, 0.644, 0.035], [0.369, 0.009, 0.208], [0.631, 0.027, 0.035], [0.635, 0.665, 0.126], [0.640, 0.385, 0.704], [0.643, 0.006, 0.794], [0.644, 0.377, 0.204], [0.649, 0.387, 0.961], [0.663, 0.347, 0.461], [0.677, 0.013, 0.298], [0.687, 0.628, 0.630], [0.694, 0.629, 0.369], [0.695, 0.652, 0.870], [0.697, 0.003, 0.538], [0.988, 0.355, 0.036], [0.988, 0.384, 0.295], [0.989, 0.015, 0.367], [0.994, 0.659, 0.462], [0.995, 0.350, 0.794]]
}